The following is a DFT calculation (r²SCAN) of a geometry-optimized RbMnCl3 structure.

Output
spin magnetization	5.000	μB per formula unit
ΔH_f (0 K)	-1861	meV/atom

a b c (Å): 7.156 7.156 17.800
angles (deg): 90.00 90.00 120.00
Positions (direct):
Rb 0.000 0.000 0.250
Rb 0.333 0.667 0.415
Rb 0.667 0.333 0.585
Rb 0.000 0.000 0.750
Rb 0.667 0.333 0.915
Rb 0.333 0.667 0.085
Mn 0.333 0.667 0.661
Mn 0.667 0.333 0.161
Mn 0.333 0.667 0.839
Mn 0.000 0.000 0.000
Mn 0.667 0.333 0.339
Mn 0.000 0.000 0.500
Cl 0.166 0.834 0.918
Cl 0.166 0.332 0.582
Cl 0.834 0.166 0.082
Cl 0.013 0.506 0.750
Cl 0.668 0.834 0.582
Cl 0.506 0.494 0.250
Cl 0.834 0.668 0.418
Cl 0.332 0.166 0.082
Cl 0.332 0.166 0.418
Cl 0.987 0.494 0.250
Cl 0.494 0.987 0.750
Cl 0.834 0.668 0.082
Cl 0.834 0.166 0.418
Cl 0.668 0.834 0.918
Cl 0.494 0.506 0.750
Cl 0.166 0.332 0.918
Cl 0.166 0.834 0.582
Cl 0.506 0.013 0.250



The following is a DFT calculation (r²SCAN) of a geometry-optimized ThSi3Ir structure.

Output
spin magnetization	0.000	μB per formula unit
ΔH_f (0 K)	-862	meV/atom

a b c (Å): 5.717 5.717 5.717
angles (deg): 136.12 136.12 63.79
Positions (direct):
Th 0.999 0.999 0.000
Si 0.410 0.410 0.000
Si 0.265 0.765 0.500
Si 0.765 0.265 0.500
Ir 0.655 0.655 0.000



The following is a DFT calculation (r²SCAN) of a geometry-optimized SrLi4CaSi2O8 structure.

Output
spin magnetization	0.000	μB per formula unit
ΔH_f (0 K)	-2938	meV/atom

a b c (Å): 4.974 9.903 14.021
angles (deg): 90.00 90.00 90.00
Positions (direct):
Sr 0.055 0.268 0.250
Sr 0.945 0.732 0.750
Sr 0.055 0.232 0.750
Sr 0.945 0.768 0.250
Li 0.517 0.223 0.871
Li 0.958 0.997 0.628
Li 0.042 0.003 0.128
Li 0.483 0.723 0.871
Li 0.042 0.003 0.372
Li 0.517 0.277 0.129
Li 0.958 0.503 0.372
Li 0.958 0.997 0.872
Li 0.517 0.223 0.629
Li 0.958 0.503 0.128
Li 0.483 0.723 0.629
Li 0.042 0.497 0.872
Li 0.517 0.277 0.371
Li 0.483 0.777 0.371
Li 0.483 0.777 0.129
Li 0.042 0.497 0.628
Ca 0.500 0.000 0.500
Ca 0.500 0.500 0.000
Ca 0.500 0.000 0.000
Ca 0.500 0.500 0.500
Si 0.474 0.975 0.750
Si 0.526 0.475 0.750
Si 0.474 0.525 0.250
Si 0.526 0.025 0.250
Si 0.982 0.750 0.000
Si 0.018 0.250 0.500
Si 0.982 0.750 0.500
Si 0.018 0.250 0.000
O 0.666 0.545 0.655
O 0.579 0.311 0.750
O 0.211 0.335 0.574
O 0.211 0.165 0.074
O 0.334 0.045 0.655
O 0.334 0.455 0.345
O 0.666 0.955 0.155
O 0.789 0.835 0.574
O 0.178 0.651 0.562
O 0.798 0.500 0.250
O 0.798 0.000 0.750
O 0.822 0.151 0.562
O 0.178 0.849 0.062
O 0.666 0.545 0.845
O 0.579 0.189 0.250
O 0.666 0.955 0.345
O 0.178 0.849 0.438
O 0.202 0.500 0.750
O 0.822 0.349 0.062
O 0.822 0.151 0.938
O 0.202 0.000 0.250
O 0.178 0.651 0.938
O 0.211 0.165 0.426
O 0.789 0.835 0.926
O 0.334 0.045 0.845
O 0.334 0.455 0.155
O 0.421 0.689 0.250
O 0.211 0.335 0.926
O 0.421 0.811 0.750
O 0.789 0.665 0.426
O 0.789 0.665 0.074
O 0.822 0.349 0.438



The following is a DFT calculation (r²SCAN) of a geometry-optimized Mg5Pd2 structure.

Output
spin magnetization	0.000	μB per formula unit
ΔH_f (0 K)	-463	meV/atom

a b c (Å): 8.639 8.639 8.159
angles (deg): 90.00 90.00 120.00
Positions (direct):
Mg 0.000 0.000 0.000
Mg 0.000 0.000 0.500
Mg 0.460 0.920 0.250
Mg 0.540 0.460 0.750
Mg 0.920 0.460 0.750
Mg 0.080 0.540 0.250
Mg 0.460 0.540 0.250
Mg 0.540 0.080 0.750
Mg 0.193 0.386 0.937
Mg 0.807 0.193 0.437
Mg 0.386 0.193 0.437
Mg 0.614 0.807 0.937
Mg 0.193 0.807 0.937
Mg 0.807 0.614 0.063
Mg 0.807 0.193 0.063
Mg 0.807 0.614 0.437
Mg 0.386 0.193 0.063
Mg 0.614 0.807 0.563
Mg 0.193 0.386 0.563
Mg 0.193 0.807 0.563
Pd 0.333 0.667 0.750
Pd 0.667 0.333 0.250
Pd 0.123 0.245 0.250
Pd 0.877 0.123 0.750
Pd 0.245 0.123 0.750
Pd 0.755 0.877 0.250
Pd 0.123 0.877 0.250
Pd 0.877 0.755 0.750



The following is a DFT calculation (r²SCAN) of a geometry-optimized GdCd structure.

Output
spin magnetization	7.962	μB per formula unit
ΔH_f (0 K)	-357	meV/atom

a b c (Å): 3.760 3.760 3.760
angles (deg): 90.00 90.00 90.00
Positions (direct):
Gd 0.500 0.500 0.500
Cd 0.000 0.000 0.000



The following is a DFT calculation (r²SCAN) of a geometry-optimized CeSnAu structure.

Output
spin magnetization	1.034	μB per formula unit
ΔH_f (0 K)	-893	meV/atom

a b c (Å): 4.755 4.755 7.857
angles (deg): 90.00 90.00 120.00
Positions (direct):
Ce 0.000 0.000 0.524
Ce 0.000 0.000 0.024
Sn 0.333 0.667 0.302
Sn 0.667 0.333 0.802
Au 0.667 0.333 0.218
Au 0.333 0.667 0.718



The following is a DFT calculation (r²SCAN) of a geometry-optimized Nd3HfSb5 structure.

Output
spin magnetization	0.000	μB per formula unit
ΔH_f (0 K)	-1071	meV/atom

a b c (Å): 9.596 9.596 6.235
angles (deg): 90.00 90.00 120.00
Positions (direct):
Nd 0.619 0.000 0.250
Nd 0.381 0.000 0.750
Nd 0.000 0.619 0.250
Nd 0.000 0.381 0.750
Nd 0.381 0.381 0.250
Nd 0.619 0.619 0.750
Hf 0.000 0.000 0.000
Hf 0.000 0.000 0.500
Sb 0.260 0.000 0.250
Sb 0.740 0.000 0.750
Sb 0.000 0.260 0.250
Sb 0.000 0.740 0.750
Sb 0.740 0.740 0.250
Sb 0.260 0.260 0.750
Sb 0.333 0.667 0.000
Sb 0.667 0.333 0.000
Sb 0.667 0.333 0.500
Sb 0.333 0.667 0.500



The following is a DFT calculation (r²SCAN) of a geometry-optimized Lu2MnSe4 structure.

Output
spin magnetization	5.000	μB per formula unit
ΔH_f (0 K)	-1824	meV/atom

a b c (Å): 8.050 8.050 8.050
angles (deg): 60.00 60.00 60.00
Positions (direct):
Lu 0.125 0.625 0.625
Lu 0.625 0.125 0.625
Lu 0.625 0.625 0.125
Lu 0.625 0.625 0.625
Mn 0.250 0.250 0.250
Mn 0.000 0.000 0.000
Se 0.860 0.380 0.380
Se 0.380 0.860 0.380
Se 0.380 0.380 0.860
Se 0.380 0.380 0.380
Se 0.389 0.870 0.870
Se 0.870 0.389 0.870
Se 0.870 0.870 0.389
Se 0.870 0.870 0.870



The following is a DFT calculation (r²SCAN) of a geometry-optimized Ti11O14 structure.

Output
spin magnetization	0.034	μB per formula unit
ΔH_f (0 K)	-2952	meV/atom

a b c (Å): 5.067 5.112 10.635
angles (deg): 85.75 103.82 109.63
Positions (direct):
Ti 0.847 0.992 0.719
Ti 0.571 0.015 0.141
Ti 0.714 0.983 0.430
Ti 0.525 0.486 0.016
Ti 0.914 0.493 0.866
Ti 0.760 0.513 0.555
Ti 0.143 0.999 0.285
Ti 0.438 0.006 0.852
Ti 0.237 0.507 0.431
Ti 0.048 0.491 0.140
Ti 0.371 0.506 0.705
O 0.390 0.749 0.282
O 0.261 0.741 0.003
O 0.461 0.244 0.423
O 0.314 0.247 0.144
O 0.824 0.755 0.148
O 0.971 0.752 0.427
O 0.094 0.734 0.718
O 0.895 0.249 0.289
O 0.670 0.741 0.863
O 0.759 0.221 0.000
O 0.024 0.258 0.568
O 0.525 0.778 0.571
O 0.191 0.264 0.852
O 0.615 0.257 0.708



The following is a DFT calculation (r²SCAN) of a geometry-optimized TlVO3 structure.

Output
spin magnetization	0.000	μB per formula unit
ΔH_f (0 K)	-2071	meV/atom

a b c (Å): 5.153 5.771 11.162
angles (deg): 90.00 90.00 90.00
Positions (direct):
Tl 0.066 0.750 0.904
Tl 0.066 0.250 0.596
Tl 0.934 0.250 0.096
Tl 0.934 0.750 0.404
V 0.537 0.750 0.666
V 0.537 0.250 0.834
V 0.463 0.250 0.334
V 0.463 0.750 0.166
O 0.572 0.500 0.250
O 0.428 0.000 0.750
O 0.428 0.500 0.750
O 0.572 0.000 0.250
O 0.415 0.750 0.530
O 0.415 0.250 0.970
O 0.585 0.250 0.470
O 0.585 0.750 0.030
O 0.141 0.750 0.157
O 0.141 0.250 0.343
O 0.859 0.250 0.843
O 0.859 0.750 0.657



The following is a DFT calculation (r²SCAN) of a geometry-optimized CeMg2 structure.

Output
spin magnetization	0.521	μB per formula unit
ΔH_f (0 K)	19	meV/atom

a b c (Å): 3.151 3.151 16.778
angles (deg): 90.00 90.00 120.00
Positions (direct):
Ce 0.667 0.333 0.593
Ce 0.333 0.667 0.407
Mg 0.667 0.333 0.923
Mg 0.333 0.667 0.768
Mg 0.667 0.333 0.233
Mg 0.333 0.667 0.077



The following is a DFT calculation (r²SCAN) of a geometry-optimized Rb3PbCl5 structure.

Output
spin magnetization	0.000	μB per formula unit
ΔH_f (0 K)	-1894	meV/atom

a b c (Å): 8.346 8.730 15.839
angles (deg): 90.00 90.00 90.00
Positions (direct):
Rb 0.967 0.262 0.046
Rb 0.467 0.238 0.954
Rb 0.533 0.762 0.454
Rb 0.033 0.738 0.546
Rb 0.033 0.738 0.954
Rb 0.533 0.762 0.046
Rb 0.467 0.238 0.546
Rb 0.967 0.262 0.454
Rb 0.137 0.080 0.750
Rb 0.637 0.420 0.250
Rb 0.363 0.580 0.750
Rb 0.863 0.920 0.250
Pb 0.642 0.933 0.750
Pb 0.142 0.567 0.250
Pb 0.858 0.433 0.750
Pb 0.358 0.067 0.250
Cl 0.128 0.391 0.875
Cl 0.628 0.109 0.125
Cl 0.372 0.891 0.625
Cl 0.872 0.609 0.375
Cl 0.872 0.609 0.125
Cl 0.372 0.891 0.875
Cl 0.628 0.109 0.375
Cl 0.128 0.391 0.625
Cl 0.177 0.952 0.113
Cl 0.677 0.548 0.887
Cl 0.323 0.452 0.387
Cl 0.823 0.048 0.613
Cl 0.823 0.048 0.887
Cl 0.323 0.452 0.113
Cl 0.677 0.548 0.613
Cl 0.177 0.952 0.387
Cl 0.022 0.276 0.250
Cl 0.522 0.224 0.750
Cl 0.478 0.776 0.250
Cl 0.978 0.724 0.750



The following is a DFT calculation (r²SCAN) of a geometry-optimized LiEuO2 structure.

Output
spin magnetization	6.000	μB per formula unit
ΔH_f (0 K)	-2653	meV/atom

a b c (Å): 3.468 5.353 11.362
angles (deg): 90.00 90.00 90.00
Positions (direct):
Li 0.250 0.403 0.565
Li 0.250 0.097 0.065
Li 0.750 0.597 0.435
Li 0.750 0.903 0.935
Eu 0.250 0.453 0.860
Eu 0.250 0.047 0.360
Eu 0.750 0.547 0.140
Eu 0.750 0.953 0.640
O 0.250 0.751 0.529
O 0.250 0.749 0.029
O 0.750 0.249 0.471
O 0.750 0.251 0.971
O 0.250 0.195 0.699
O 0.250 0.305 0.199
O 0.750 0.805 0.301
O 0.750 0.695 0.801



The following is a DFT calculation (r²SCAN) of a geometry-optimized TiBr3 structure.

Output
spin magnetization	1.000	μB per formula unit
ΔH_f (0 K)	-1444	meV/atom

a b c (Å): 6.502 6.637 7.416
angles (deg): 64.16 64.69 60.69
Positions (direct):
Ti 0.338 0.825 0.999
Ti 0.663 0.175 0.001
Br 0.280 0.423 0.232
Br 0.721 0.577 0.768
Br 0.562 0.779 0.231
Br 0.437 0.221 0.769
Br 0.080 0.933 0.769
Br 0.919 0.068 0.231



The following is a DFT calculation (r²SCAN) of a geometry-optimized LaGa3Cu structure.

Output
spin magnetization	0.000	μB per formula unit
ΔH_f (0 K)	-593	meV/atom

a b c (Å): 6.059 6.059 6.059
angles (deg): 138.90 138.90 59.52
Positions (direct):
La 0.000 0.000 0.000
Ga 0.620 0.620 0.000
Ga 0.380 0.380 0.000
Ga 0.750 0.250 0.500
Cu 0.250 0.750 0.500